1.
Below is a geometry-optimized TbAsO4 structure, with properties calculated at the meta-GGA r2SCAN level.

a = 5.9275 Å, b = 5.9275 Å, c = 5.9275 Å
α = 106.54°, β = 106.54°, γ = 115.50°
Closest atoms and distances in Å follow each position.
Fractional coordinates of all 12 atoms:
Tb: 0.3750 0.6250 0.7500  8 O 2.31-2.43
Tb: 0.6250 0.3750 0.2500  8 O 2.31-2.43
As: 0.1250 0.8750 0.2500  4 O 1.70
As: 0.8750 0.1250 0.7500  4 O 1.70
O: 0.1323 0.7007 0.4316  1 As 1.70
O: 0.2309 0.2993 0.9316  1 As 1.70
O: 0.2993 0.2309 0.4316  1 As 1.70
O: 0.2993 0.8677 0.0684  1 As 1.70
O: 0.7007 0.1323 0.9316  1 As 1.70
O: 0.7007 0.7691 0.5684  1 As 1.70
O: 0.7691 0.7007 0.0684  1 As 1.70
O: 0.8677 0.2993 0.5684  1 As 1.70

Computed properties:
Theoretical density ... 6.22 g/cm³
Calculated volume ... 13.2 A^3/atom

---

2.
Below is a geometry-optimized Cs2Li2TiO4 structure, with properties calculated at the meta-GGA r2SCAN level.

a = 5.7854 Å, b = 5.8929 Å, c = 9.4152 Å
α = 83.67°, β = 74.39°, γ = 86.62°
Closest atoms and distances in Å follow each position.
Fractional coordinates of all 18 atoms:
Cs: 0.0284 0.1474 0.2836  5 O 3.04-3.29, 3 Li 3.08-3.32
Cs: 0.2828 0.7262 0.0148  4 O 2.93-3.15
Cs: 0.7172 0.2738 0.9852  4 O 2.93-3.15
Cs: 0.9716 0.8526 0.7164  5 O 3.04-3.29, 3 Li 3.08-3.32
Li: 0.1919 0.5844 0.4255  4 O 1.96-2.05
Li: 0.4263 0.1788 0.4416  3 O 1.88-1.96
Li: 0.5737 0.8212 0.5584  3 O 1.88-1.96
Li: 0.8081 0.4156 0.5745  4 O 1.96-2.05
Ti: 0.3618 0.3193 0.7086  4 O 1.80-1.86
Ti: 0.6382 0.6807 0.2914  4 O 1.80-1.86
O: 0.1312 0.3607 0.6029  1 Ti 1.86, 2 Li 1.96-1.98
O: 0.2405 0.2045 0.8973  1 Ti 1.80
O: 0.4006 0.8620 0.4042  1 Ti 1.86, 3 Li 1.96-2.05
O: 0.4750 0.4246 0.2919  1 Ti 1.83, 2 Li 1.88-2.03
O: 0.5250 0.5754 0.7081  1 Ti 1.83, 2 Li 1.88-2.03
O: 0.5994 0.1380 0.5958  1 Ti 1.86, 3 Li 1.96-2.05
O: 0.7595 0.7955 0.1027  1 Ti 1.80
O: 0.8688 0.6393 0.3971  1 Ti 1.86, 2 Li 1.96-1.98

Computed properties:
Theoretical density ... 4.23 g/cm³
Calculated volume ... 17.1 A^3/atom

---

Number 1: ΔE_f -2.644 eV per atom. Number 2: ΔE_f -2.436 eV per atom.